Record 1
Here is a relaxed Ho5In4Pt2 crystal from the Materials Project database. Energies are from PBE.

CIF file:
```
data_Ho5In4Pt2
_space_group_name_H-M_alt 'P b a m'
_space_group_IT_number 55
_cell_length_a 8.160
_cell_length_b 18.237
_cell_length_c 3.607
_cell_angle_alpha 90.00
_cell_angle_beta 90.00
_cell_angle_gamma 90.00
loop_
_space_group_symop_operation_xyz
'x,y,z'
'-x,-y,-z'
'-x,-y,z'
'x,y,-z'
'x+1/2,-y+1/2,-z'
'-x+1/2,y+1/2,z'
'-x+1/2,y+1/2,-z'
'x+1/2,-y+1/2,z'
loop_
_atom_site_label
_atom_site_type_symbol
_atom_site_fract_x
_atom_site_fract_y
_atom_site_fract_z
Ho1 Ho 0.000 0.000 0.000
Ho2 Ho 0.117 0.414 0.000
Ho3 Ho 0.244 0.220 0.000
In1 In 0.076 0.850 0.500
In2 In 0.208 0.567 0.500
Pt1 Pt 0.024 0.303 0.500
```

Calculated total energy (eV per atom): -5.00
Formation energy from the elements (eV/f.u.): -9.0

Record 2
Here is a relaxed CaAsO5 crystal from the Materials Project database. Energies are from PBE.

CIF file:
```
data_CaAsO5
_space_group_name_H-M_alt 'P b c n'
_space_group_IT_number 60
_cell_length_a 6.657
_cell_length_b 8.628
_cell_length_c 13.907
_cell_angle_alpha 90.00
_cell_angle_beta 90.00
_cell_angle_gamma 90.00
loop_
_space_group_symop_operation_xyz
'x,y,z'
'-x,-y,-z'
'-x+1/2,-y+1/2,z+1/2'
'x+1/2,y+1/2,-z+1/2'
'x+1/2,-y+1/2,-z'
'-x+1/2,y+1/2,z'
'-x,y,-z+1/2'
'x,-y,z+1/2'
loop_
_atom_site_label
_atom_site_type_symbol
_atom_site_fract_x
_atom_site_fract_y
_atom_site_fract_z
Ca1 Ca 0.138 0.188 0.055
As1 As 0.140 0.446 0.883
O1 O 0.015 0.294 0.594
O2 O 0.035 0.379 0.368
O3 O 0.101 0.009 0.729
O4 O 0.179 0.058 0.471
O5 O 0.224 0.114 0.269
```

Calculated total energy (eV per atom): -5.94
Formation energy from the elements (eV/f.u.): -10.2

Record 3
Here is a relaxed RbSnF3 crystal from the Materials Project database. Energies are from PBE.

CIF file:
```
data_RbSnF3
_space_group_name_H-M_alt 'R -3'
_space_group_IT_number 148
_space_group_name_Hall '-R 3'
_cell_length_a 6.9333
_cell_length_b 6.9333
_cell_length_c 16.3647
_cell_angle_alpha 90.00
_cell_angle_beta 90.00
_cell_angle_gamma 120.00
loop_
_atom_site_label
_atom_site_type_symbol
_atom_site_fract_x
_atom_site_fract_y
_atom_site_fract_z
Rb1 Rb 0.0000 0.0000 0.1256
Sn1 Sn 0.0000 0.0000 0.3563
F1 F 0.0236 0.7734 0.7255
```

Corrected total energy (MP2020 scheme) (eV/atom): -4.92
Calculated total energy (eV per atom): -4.64
Formation energy from the elements (eV/f.u.): -13.9

Record 4
Here is a relaxed SrAlF5 crystal from the Materials Project database. Energies are from PBE.

CIF file:
```
data_SrAlF5
_space_group_name_H-M_alt 'I 41/a'
_space_group_IT_number 88
_cell_length_a 20.205
_cell_length_b 20.205
_cell_length_c 14.541
_cell_angle_alpha 90.00
_cell_angle_beta 90.00
_cell_angle_gamma 90.00
loop_
_space_group_symop_operation_xyz
'x,y,z'
'-x,-y,-z'
'-y+3/4,x+1/4,z+1/4'
'y+3/4,-x+1/4,-z+1/4'
'-x+1/2,-y,z+1/2'
'x+1/2,y,-z+1/2'
'y+3/4,-x+3/4,z+3/4'
'-y+3/4,x+3/4,-z+3/4'
'x+1/2,y+1/2,z+1/2'
'-x+1/2,-y+1/2,-z+1/2'
'-y+1/4,x+3/4,z+3/4'
'y+1/4,-x+3/4,-z+3/4'
'-x,-y+1/2,z'
'x,y+1/2,-z'
'y+1/4,-x+1/4,z+1/4'
'-y+1/4,x+1/4,-z+1/4'
loop_
_atom_site_label
_atom_site_type_symbol
_atom_site_fract_x
_atom_site_fract_y
_atom_site_fract_z
Sr1 Sr 0.081 0.113 0.129
Sr2 Sr 0.082 0.115 0.621
Sr3 Sr 0.091 0.409 0.875
Sr4 Sr 0.093 0.412 0.374
Al1 Al 0.000 0.250 0.269
Al2 Al 0.000 0.250 0.479
Al3 Al 0.074 0.007 0.376
Al4 Al 0.077 0.008 0.875
Al5 Al 0.249 0.001 0.375
F1 F 0.011 0.004 0.123
F2 F 0.014 0.008 0.626
F3 F 0.023 0.304 0.374
F4 F 0.025 0.316 0.555
F5 F 0.025 0.317 0.194
F6 F 0.033 0.332 0.983
F7 F 0.034 0.332 0.769
F8 F 0.067 0.073 0.462
F9 F 0.069 0.073 0.289
F10 F 0.074 0.075 0.789
F11 F 0.075 0.075 0.962
F12 F 0.089 0.442 0.538
F13 F 0.090 0.444 0.212
F14 F 0.093 0.443 0.709
F15 F 0.094 0.444 0.041
F16 F 0.161 0.020 0.124
F17 F 0.164 0.022 0.627
F18 F 0.164 0.029 0.379
F19 F 0.167 0.027 0.872
F20 F 0.247 0.001 0.250
```

Corrected total energy (MP2020 scheme) (eV/atom): -6.19
Calculated total energy (eV per atom): -5.86
Formation energy from the elements (eV/f.u.): -28.3

Record 5
Here is a relaxed Ca3Si4Bi2O14 crystal from the Materials Project database. Energies are from PBE.

CIF file:
```
data_Ca3Si4Bi2O14
_space_group_name_H-M_alt 'C 1 2/c 1'
_space_group_IT_number 15
_cell_length_a 18.028
_cell_length_b 8.133
_cell_length_c 10.771
_cell_angle_alpha 90.00
_cell_angle_beta 124.51
_cell_angle_gamma 90.00
loop_
_space_group_symop_operation_xyz
'x,y,z'
'-x,-y,-z'
'-x,y,-z+1/2'
'x,-y,z+1/2'
'x+1/2,y+1/2,z'
'-x+1/2,-y+1/2,-z'
'-x+1/2,y+1/2,-z+1/2'
'x+1/2,-y+1/2,z+1/2'
loop_
_atom_site_label
_atom_site_type_symbol
_atom_site_fract_x
_atom_site_fract_y
_atom_site_fract_z
Ca1 Ca 0.000 0.158 0.250
Ca2 Ca 0.206 0.454 0.465
Si1 Si 0.129 0.121 0.639
Si2 Si 0.191 0.221 0.169
Bi1 Bi 0.000 0.271 0.750
Bi2 Bi 0.000 0.500 0.000
O1 O 0.059 0.044 0.672
O2 O 0.080 0.477 0.754
O3 O 0.089 0.256 0.501
O4 O 0.113 0.330 0.023
O5 O 0.181 0.028 0.103
O6 O 0.197 0.220 0.324
O7 O 0.215 0.203 0.803
```

Corrected total energy (MP2020 scheme) (eV/atom): -7.49
Calculated total energy (eV per atom): -7.07
Formation energy from the elements (eV/f.u.): -67.4

Record 6
Here is a relaxed Cu4Bi7S12 crystal from the Materials Project database. Energies are from PBE.

CIF file:
```
data_Cu4Bi7S12
_space_group_name_H-M_alt 'C 1 2/m 1'
_space_group_IT_number 12
_cell_length_a 18.471
_cell_length_b 3.945
_cell_length_c 15.223
_cell_angle_alpha 90.00
_cell_angle_beta 102.49
_cell_angle_gamma 90.00
loop_
_space_group_symop_operation_xyz
'x,y,z'
'-x,-y,-z'
'-x,y,-z'
'x,-y,z'
'x+1/2,y+1/2,z'
'-x+1/2,-y+1/2,-z'
'-x+1/2,y+1/2,-z'
'x+1/2,-y+1/2,z'
loop_
_atom_site_label
_atom_site_type_symbol
_atom_site_fract_x
_atom_site_fract_y
_atom_site_fract_z
Cu1 Cu 0.092 0.000 0.490
Cu2 Cu 0.153 0.000 0.139
Bi1 Bi 0.000 0.500 0.000
Bi2 Bi 0.008 0.500 0.720
Bi3 Bi 0.171 0.000 0.911
Bi4 Bi 0.238 0.500 0.371
S1 S 0.017 0.000 0.876
S2 S 0.025 0.000 0.607
S3 S 0.149 0.000 0.284
S4 S 0.157 0.500 0.783
S5 S 0.160 0.500 0.061
S6 S 0.161 0.500 0.498
```

Corrected total energy (MP2020 scheme) (eV/atom): -4.58
Calculated total energy (eV per atom): -4.32
Formation energy from the elements (eV/f.u.): -12.1

Record 7
Here is a relaxed TbMn6Sn6 crystal from the Materials Project database. Energies are from PBE.

CIF file:
```
data_TbMn6Sn6
_space_group_name_H-M_alt 'P 6/m m m'
_space_group_IT_number 191
_space_group_name_Hall '-P 6 2'
_cell_length_a 5.4582
_cell_length_b 5.4582
_cell_length_c 9.0027
_cell_angle_alpha 90.00
_cell_angle_beta 90.00
_cell_angle_gamma 120.00
loop_
_atom_site_label
_atom_site_type_symbol
_atom_site_fract_x
_atom_site_fract_y
_atom_site_fract_z
Tb1 Tb 0.0000 0.0000 0.0000
Mn1 Mn 0.0000 0.5000 0.2488
Sn1 Sn 0.0000 0.0000 0.3332
Sn2 Sn 0.3333 0.6667 0.0000
Sn3 Sn 0.3333 0.6667 0.5000
```

Calculated total energy (eV per atom): -6.58
Formation energy from the elements (eV/f.u.): -1.8

Record 8
Here is a relaxed Ce3Ga crystal from the Materials Project database. Energies are from PBE.

CIF file:
```
data_Ce3Ga
_space_group_name_H-M_alt 'P 63/m m c'
_space_group_IT_number 194
_space_group_name_Hall '-P 6c 2c'
_cell_length_a 6.7421
_cell_length_b 6.7421
_cell_length_c 5.0818
_cell_angle_alpha 90.00
_cell_angle_beta 90.00
_cell_angle_gamma 120.00
loop_
_atom_site_label
_atom_site_type_symbol
_atom_site_fract_x
_atom_site_fract_y
_atom_site_fract_z
Ce1 Ce 0.1798 0.3596 0.2500
Ga1 Ga 0.3333 0.6667 0.7500
```

Calculated total energy (eV per atom): -5.46
Formation energy from the elements (eV/f.u.): -1.0